Crystalline CdCu2O3 at its relaxed geometry, computed with PBE.

a = 4.002 Å, b = 9.889 Å, c = 3.680 Å
α = 90.00°, β = 90.00°, γ = 90.00°
Space group Pmmn (No. 59, origin choice 2)
Symmetry-distinct sites (fractional):
Cd: 0.250 0.250 0.196 [2 per cell]
Cu: 0.250 0.585 0.332 [4 per cell]
O: 0.250 0.077 0.624 [4 per cell]
O: 0.250 0.750 0.061 [2 per cell]

Values from the calculation:
Final energy, eV per atom: -4.695
ΔH_f (0 K), meV/atom: -1043.9
MP2020-corrected energy, eV per atom: -5.0381